Entry 1:
## SmInAg2 (PBE-GGA)

Data for an optimized crystal structure of SmInAg2. Values from VASP.

Quantum ESPRESSO input file:
```
&SYSTEM
  ibrav = 0, nat = 4, ntyp = 3
/
ATOMIC_SPECIES
Sm 150.36 Sm.upf
In 114.82 In.upf
Ag 107.87 Ag.upf
ATOMIC_POSITIONS crystal
Sm 0.0000 0.0000 0.0000
In 0.5000 0.5000 0.5000
Ag 0.2500 0.2500 0.2500
Ag 0.7500 0.7500 0.7500
CELL_PARAMETERS angstrom
0.0000 3.5469 3.5469
3.5469 0.0000 3.5469
3.5469 3.5469 0.0000
```

## Properties
Its space group is Fm-3m (225).

Entry 2:
## Na3H7Ru (PBE-GGA)

Data for an optimized crystal structure of Na3H7Ru. Values from VASP.

Quantum ESPRESSO input file:
```
&SYSTEM
  ibrav = 0, nat = 44, ntyp = 3
/
ATOMIC_SPECIES
Na 22.99 Na.upf
H 1.01 H.upf
Ru 101.07 Ru.upf
ATOMIC_POSITIONS crystal
Na 0.0353 0.3006 0.0000
Na 0.1133 0.8867 0.5000
Na 0.1994 0.5353 0.5000
Na 0.3006 0.0353 0.0000
Na 0.3867 0.3867 0.0000
Na 0.4647 0.8006 0.5000
Na 0.5353 0.1994 0.5000
Na 0.6133 0.6133 0.0000
Na 0.6994 0.9647 0.0000
Na 0.8006 0.4647 0.5000
Na 0.8867 0.1133 0.5000
Na 0.9647 0.6994 0.0000
H 0.0676 0.3235 0.5000
H 0.1054 0.1054 0.3012
H 0.1054 0.1054 0.6988
H 0.1753 0.8247 0.0000
H 0.1765 0.5676 0.0000
H 0.2458 0.2458 0.2113
H 0.2458 0.2458 0.7887
H 0.2542 0.7458 0.2887
H 0.2542 0.7458 0.7113
H 0.3235 0.0676 0.5000
H 0.3247 0.3247 0.5000
H 0.3946 0.6054 0.1988
H 0.3946 0.6054 0.8012
H 0.4324 0.8235 0.0000
H 0.5676 0.1765 0.0000
H 0.6054 0.3946 0.1988
H 0.6054 0.3946 0.8012
H 0.6753 0.6753 0.5000
H 0.6765 0.9324 0.5000
H 0.7458 0.2542 0.2887
H 0.7458 0.2542 0.7113
H 0.7542 0.7542 0.2113
H 0.7542 0.7542 0.7887
H 0.8235 0.4324 0.0000
H 0.8247 0.1753 0.0000
H 0.8946 0.8946 0.3012
H 0.8946 0.8946 0.6988
H 0.9324 0.6765 0.5000
Ru 0.2025 0.2025 0.5000
Ru 0.2975 0.7025 0.0000
Ru 0.7025 0.2975 0.0000
Ru 0.7975 0.7975 0.5000
CELL_PARAMETERS angstrom
9.5516 0.0000 0.0000
0.0000 9.5516 0.0000
0.0000 0.0000 5.3183
```

## Properties
Its space group is P4_2/mnm (136).

Entry 3:
## MgSnBiO5 (PBE-GGA)

Data for an optimized crystal structure of MgSnBiO5. Values from VASP.

Quantum ESPRESSO input file:
```
&SYSTEM
  ibrav = 0, nat = 64, ntyp = 4
/
ATOMIC_SPECIES
Mg 24.30 Mg.upf
Sn 118.71 Sn.upf
Bi 208.98 Bi.upf
O 16.00 O.upf
ATOMIC_POSITIONS crystal
Mg 0.0347 0.0643 0.1212
Mg 0.0347 0.4357 0.6212
Mg 0.4653 0.5643 0.1212
Mg 0.4653 0.9357 0.6212
Mg 0.5347 0.0643 0.3788
Mg 0.5347 0.4357 0.8788
Mg 0.9653 0.5643 0.3788
Mg 0.9653 0.9357 0.8788
Sn 0.0469 0.5658 0.8771
Sn 0.0469 0.9342 0.3771
Sn 0.4531 0.0658 0.8771
Sn 0.4531 0.4342 0.3771
Sn 0.5469 0.5658 0.6229
Sn 0.5469 0.9342 0.1229
Sn 0.9531 0.0658 0.6229
Sn 0.9531 0.4342 0.1229
Bi 0.0113 0.7429 0.1427
Bi 0.0113 0.7571 0.6427
Bi 0.4887 0.2429 0.1427
Bi 0.4887 0.2571 0.6427
Bi 0.5113 0.7429 0.3573
Bi 0.5113 0.7571 0.8573
Bi 0.9887 0.2429 0.3573
Bi 0.9887 0.2571 0.8573
O 0.1429 0.1787 0.6930
O 0.1429 0.3213 0.1930
O 0.1836 0.6668 0.2982
O 0.1836 0.8332 0.7982
O 0.1856 0.0086 0.7585
O 0.1856 0.4914 0.2585
O 0.2416 0.0259 0.5019
O 0.2416 0.4741 0.0019
O 0.2443 0.1538 0.9959
O 0.2443 0.3462 0.4959
O 0.2557 0.6538 0.9959
O 0.2557 0.8462 0.4959
O 0.2584 0.5259 0.5019
O 0.2584 0.9741 0.0019
O 0.3144 0.5086 0.7585
O 0.3144 0.9914 0.2585
O 0.3164 0.1668 0.2982
O 0.3164 0.3332 0.7982
O 0.3571 0.6787 0.6930
O 0.3571 0.8213 0.1930
O 0.6429 0.1787 0.8070
O 0.6429 0.3213 0.3070
O 0.6836 0.6668 0.2018
O 0.6836 0.8332 0.7018
O 0.6856 0.0086 0.7415
O 0.6856 0.4914 0.2415
O 0.7416 0.0259 0.9981
O 0.7416 0.4741 0.4981
O 0.7443 0.1538 0.5041
O 0.7443 0.3462 0.0041
O 0.7557 0.6538 0.5041
O 0.7557 0.8462 0.0041
O 0.7584 0.5259 0.9981
O 0.7584 0.9741 0.4981
O 0.8144 0.5086 0.7415
O 0.8144 0.9914 0.2415
O 0.8164 0.1668 0.2018
O 0.8164 0.3332 0.7018
O 0.8571 0.6787 0.8070
O 0.8571 0.8213 0.3070
CELL_PARAMETERS angstrom
5.3031 0.0000 0.0000
0.0000 15.4239 0.0000
0.0000 0.0000 10.3708
```

## Properties
The distance to the lowest polymorph of the same formula comes out at 0 meV per atom. The total magnetization is 0.000 μB/atom. Its space group is Pbca (61).

Entry 4:
## CaHoTi2O6 (PBE-GGA)

Data for an optimized crystal structure of CaHoTi2O6. Values from VASP.

Quantum ESPRESSO input file:
```
&SYSTEM
  ibrav = 0, nat = 20, ntyp = 4
/
ATOMIC_SPECIES
Ca 40.08 Ca.upf
Ho 164.93 Ho.upf
Ti 47.87 Ti.upf
O 16.00 O.upf
ATOMIC_POSITIONS crystal
Ca 0.0000 0.1974 0.0000
Ca 0.5000 0.8026 0.5000
Ho 0.0000 0.6858 0.5298
Ho 0.5000 0.3142 0.0298
Ti 0.2499 0.2463 0.5118
Ti 0.2501 0.7537 0.0118
Ti 0.7501 0.2463 0.5118
Ti 0.7499 0.7537 0.0118
O 0.0000 0.2838 0.4251
O 0.0000 0.7781 0.1209
O 0.1960 0.9470 0.7049
O 0.2008 0.4619 0.8025
O 0.2992 0.5381 0.3025
O 0.3040 0.0530 0.2049
O 0.5000 0.2219 0.6209
O 0.5000 0.7163 0.9251
O 0.6960 0.0530 0.2049
O 0.7008 0.5381 0.3025
O 0.7992 0.4619 0.8025
O 0.8040 0.9470 0.7049
CELL_PARAMETERS angstrom
7.6988 0.0000 0.0000
0.0000 5.5785 0.0000
0.0000 0.0000 5.3647
```

## Properties
The total magnetization is 0.092 μB/atom. Its space group is Pmn2_1 (31).

no.,energy of formation (kJ/mol of formula units)
1,-143
2,-268
3,-1552
4,-3496